1.
LiLuF4: relaxed, meta-GGA r2SCAN.

Summary:
- magnetization (μB/f.u.) = 0.00
- formation enthalpy at 0 K (meV per atom) = -4095
- total DFT energy (no corrections) (eV for the cell shown) = -155.09

Unit cell a=6.286 b=6.286 c=5.040 alpha=66.75 beta=66.75 gamma=111.20
Fractional coordinates of all 12 atoms:
F 0.959 0.371 0.368
F 0.629 0.041 0.132
F 0.240 0.327 0.794
F 0.327 0.240 0.294
F 0.673 0.760 0.706
F 0.041 0.629 0.632
F 0.371 0.959 0.868
F 0.760 0.673 0.206
Lu 0.374 0.626 0.250
Lu 0.626 0.374 0.750
Li 0.880 0.120 0.250
Li 0.120 0.880 0.750

---

2.
LaPm3: relaxed, meta-GGA r2SCAN.

Summary:
- magnetization (μB/f.u.) = 0.00
- formation enthalpy at 0 K (meV per atom) = 27
- total DFT energy (no corrections) (eV for the cell shown) = -118.26

Unit cell a=6.362 b=6.362 c=6.362 alpha=131.45 beta=131.45 gamma=71.09
Fractional coordinates of all 4 atoms:
Pm 0.250 0.750 0.500
Pm 0.750 0.250 0.500
Pm 0.500 0.500 0.000
La 0.000 0.000 0.000

---

3.
Cu2S3O12: relaxed, meta-GGA r2SCAN.

Summary:
- magnetization (μB/f.u.) = 0.00
- formation enthalpy at 0 K (meV per atom) = -1128
- total DFT energy (no corrections) (eV for the cell shown) = -273.30

Unit cell a=8.685 b=8.685 c=8.685 alpha=54.91 beta=54.91 gamma=54.91
Fractional coordinates of all 34 atoms:
S 0.042 0.458 0.749
S 0.749 0.042 0.458
S 0.458 0.749 0.042
S 0.542 0.251 0.958
S 0.958 0.542 0.251
S 0.251 0.958 0.542
Cu 0.145 0.145 0.145
Cu 0.345 0.345 0.345
Cu 0.855 0.855 0.855
Cu 0.655 0.655 0.655
O 0.748 0.126 0.861
O 0.139 0.252 0.874
O 0.202 0.159 0.530
O 0.831 0.507 0.465
O 0.841 0.470 0.798
O 0.606 0.797 0.023
O 0.169 0.493 0.535
O 0.977 0.394 0.203
O 0.861 0.748 0.126
O 0.126 0.861 0.748
O 0.874 0.139 0.252
O 0.535 0.169 0.493
O 0.530 0.202 0.159
O 0.797 0.023 0.606
O 0.159 0.530 0.202
O 0.507 0.465 0.831
O 0.465 0.831 0.507
O 0.493 0.535 0.169
O 0.470 0.798 0.841
O 0.203 0.977 0.394
O 0.252 0.874 0.139
O 0.394 0.203 0.977
O 0.023 0.606 0.797
O 0.798 0.841 0.470

---

4.
Er2Co3Si5: relaxed, meta-GGA r2SCAN.

Summary:
- magnetization (μB/f.u.) = 0.60
- formation enthalpy at 0 K (meV per atom) = -722
- total DFT energy (no corrections) (eV for the cell shown) = -317.29

Unit cell a=5.472 b=7.803 c=7.803 alpha=73.95 beta=69.47 gamma=69.47
Fractional coordinates of all 20 atoms:
Co 0.361 0.532 0.746
Co 0.861 0.746 0.532
Co 0.639 0.468 0.254
Co 0.750 0.000 0.000
Co 0.139 0.254 0.468
Co 0.250 0.000 0.000
Er 0.865 0.402 0.868
Er 0.135 0.598 0.132
Er 0.635 0.132 0.598
Er 0.365 0.868 0.402
Si 0.025 0.225 0.225
Si 0.600 0.741 0.060
Si 0.475 0.775 0.775
Si 0.900 0.940 0.259
Si 0.750 0.500 0.500
Si 0.975 0.775 0.775
Si 0.400 0.259 0.940
Si 0.100 0.060 0.741
Si 0.250 0.500 0.500
Si 0.525 0.225 0.225

---

5.
Ce2Ga7Pd: relaxed, meta-GGA r2SCAN.

Summary:
- magnetization (μB/f.u.) = 2.12
- formation enthalpy at 0 K (meV per atom) = -630
- total DFT energy (no corrections) (eV for the cell shown) = -171.04

Unit cell a=4.329 b=4.329 c=10.519 alpha=90.00 beta=90.00 gamma=90.00
Fractional coordinates of all 10 atoms:
Pd 0.500 0.500 0.128
Ga 0.500 0.000 0.246
Ga 0.500 0.500 0.895
Ga 0.000 0.000 0.386
Ga 0.500 0.000 0.750
Ga 0.000 0.500 0.750
Ga 0.000 0.500 0.246
Ga 0.000 0.000 0.619
Ce 0.500 0.500 0.486
Ce 0.000 0.000 0.993

---

6.
Ho2AgRu: relaxed, meta-GGA r2SCAN.

Summary:
- magnetization (μB/f.u.) = 0.00
- formation enthalpy at 0 K (meV per atom) = -405
- total DFT energy (no corrections) (eV for the cell shown) = -114.16

Unit cell a=4.900 b=4.900 c=4.900 alpha=60.00 beta=60.00 gamma=60.00
Fractional coordinates of all 4 atoms:
Ru 0.000 0.000 0.000
Ho 0.750 0.750 0.750
Ho 0.250 0.250 0.250
Ag 0.500 0.500 0.500

---

7.
LiInI4: relaxed, meta-GGA r2SCAN.

Summary:
- magnetization (μB/f.u.) = 0.00
- formation enthalpy at 0 K (meV per atom) = -894
- total DFT energy (no corrections) (eV for the cell shown) = -514.26

Unit cell a=7.644 b=8.343 c=15.226 alpha=87.18 beta=90.00 gamma=90.00
Fractional coordinates of all 24 atoms:
I 0.158 0.178 0.437
I 0.179 0.684 0.938
I 0.342 0.178 0.937
I 0.179 0.941 0.191
I 0.842 0.822 0.563
I 0.821 0.316 0.062
I 0.321 0.684 0.438
I 0.679 0.059 0.309
I 0.679 0.316 0.562
I 0.821 0.059 0.809
I 0.821 0.584 0.302
I 0.679 0.584 0.802
I 0.179 0.416 0.698
I 0.658 0.822 0.063
I 0.321 0.416 0.198
I 0.321 0.941 0.691
In 0.671 0.303 0.900
In 0.829 0.303 0.400
In 0.329 0.697 0.100
In 0.171 0.697 0.600
Li 0.989 0.143 0.623
Li 0.489 0.857 0.877
Li 0.511 0.143 0.123
Li 0.011 0.857 0.377

---

8.
Mn4Si7: relaxed, meta-GGA r2SCAN.

Summary:
- magnetization (μB/f.u.) = 0.00
- formation enthalpy at 0 K (meV per atom) = -283
- total DFT energy (no corrections) (eV for the cell shown) = -493.06

Unit cell a=5.457 b=5.457 c=17.150 alpha=90.00 beta=90.00 gamma=90.00
Fractional coordinates of all 44 atoms:
Si 0.346 0.229 0.539
Si 0.322 0.159 0.817
Si 0.803 0.844 0.113
Si 0.654 0.771 0.539
Si 0.803 0.156 0.613
Si 0.322 0.841 0.317
Si 0.678 0.841 0.817
Si 0.334 0.666 0.750
Si 0.346 0.771 0.040
Si 0.229 0.346 0.961
Si 0.666 0.666 0.250
Si 0.159 0.322 0.683
Si 0.841 0.322 0.183
Si 0.159 0.678 0.183
Si 0.841 0.678 0.683
Si 0.197 0.844 0.613
Si 0.771 0.654 0.961
Si 0.654 0.229 0.040
Si 0.666 0.334 0.750
Si 0.229 0.654 0.460
Si 0.771 0.346 0.460
Si 0.844 0.197 0.887
Si 0.156 0.803 0.887
Si 0.334 0.334 0.250
Si 0.678 0.159 0.317
Si 0.197 0.156 0.113
Si 0.156 0.197 0.387
Si 0.844 0.803 0.387
Mn 0.000 0.000 0.500
Mn 0.000 0.000 0.750
Mn 0.500 0.500 0.630
Mn 0.500 0.500 0.370
Mn 0.000 0.500 0.565
Mn 0.500 0.000 0.692
Mn 0.500 0.000 0.192
Mn 0.000 0.500 0.808
Mn 0.000 0.500 0.065
Mn 0.500 0.500 0.130
Mn 0.500 0.000 0.935
Mn 0.500 0.000 0.435
Mn 0.000 0.000 0.250
Mn 0.000 0.000 0.000
Mn 0.500 0.500 0.870
Mn 0.000 0.500 0.308

---

9.
Yb2GeAu: relaxed, meta-GGA r2SCAN.

Summary:
- magnetization (μB/f.u.) = 0.00
- formation enthalpy at 0 K (meV per atom) = -826
- total DFT energy (no corrections) (eV for the cell shown) = -140.82

Unit cell a=4.958 b=4.958 c=4.958 alpha=60.00 beta=60.00 gamma=60.00
Fractional coordinates of all 4 atoms:
Yb 0.750 0.750 0.750
Yb 0.250 0.250 0.250
Ge 0.000 0.000 0.000
Au 0.500 0.500 0.500

---

10.
YRh2Pb: relaxed, meta-GGA r2SCAN.

Summary:
- magnetization (μB/f.u.) = 0.91
- formation enthalpy at 0 K (meV per atom) = -596
- total DFT energy (no corrections) (eV for the cell shown) = -127.26

Unit cell a=4.743 b=4.743 c=4.743 alpha=60.00 beta=60.00 gamma=60.00
Fractional coordinates of all 4 atoms:
Rh 0.750 0.750 0.750
Rh 0.250 0.250 0.250
Pb 0.500 0.500 0.500
Y 0.000 0.000 0.000

---

11.
MnO2: relaxed, meta-GGA r2SCAN.

Summary:
- magnetization (μB/f.u.) = 3.00
- formation enthalpy at 0 K (meV per atom) = -1972
- total DFT energy (no corrections) (eV for the cell shown) = -32.54

Unit cell a=2.857 b=2.857 c=4.601 alpha=90.01 beta=89.99 gamma=120.00
Fractional coordinates of all 3 atoms:
O 0.333 0.667 0.206
O 0.667 0.333 0.794
Mn 0.000 0.000 0.000

---

12.
VF5: relaxed, meta-GGA r2SCAN.

Summary:
- magnetization (μB/f.u.) = 0.00
- formation enthalpy at 0 K (meV per atom) = -2834
- total DFT energy (no corrections) (eV for the cell shown) = -186.89

Unit cell a=13.057 b=5.377 c=4.879 alpha=90.00 beta=90.00 gamma=90.00
Fractional coordinates of all 24 atoms:
F 0.417 0.158 0.130
F 0.758 0.364 0.180
F 0.742 0.636 0.680
F 0.253 0.595 0.729
F 0.919 0.151 0.353
F 0.083 0.842 0.630
F 0.747 0.095 0.771
F 0.419 0.349 0.647
F 0.602 0.133 0.444
F 0.398 0.633 0.056
F 0.917 0.342 0.870
F 0.242 0.864 0.320
F 0.102 0.367 0.556
F 0.258 0.136 0.820
F 0.898 0.867 0.944
F 0.753 0.905 0.271
F 0.583 0.658 0.370
F 0.581 0.849 0.853
F 0.247 0.405 0.229
F 0.081 0.651 0.147
V 0.845 0.143 0.062
V 0.345 0.357 0.938
V 0.655 0.857 0.562
V 0.155 0.643 0.438

---

> magnetization of number 8 (Mn4Si7)?

0.00 μB/f.u.

---

> What is the formula in the tenth record?

YRh2Pb